La7SmCo6Ag2O20, relaxed, DFT PBE+U; space-group type = No. 1; V = 2004.4 Å³/cell; crystal system = triclinic; ΔE_f = -2558 meV/atom; M_tot = 16.000 μB/f.u.
1.0
6.398 6.818 5.399
-5.143 -2.954 9.759
10.247 -13.831 -5.470
O Sm Co La Ag
80 4 24 28 8
Direct
0.916 0.573 0.249
0.645 0.890 0.026
0.389 0.391 0.019
0.334 0.271 0.124
0.673 0.431 0.250
0.197 0.214 0.360
0.960 0.399 0.879
0.139 0.928 0.750
0.373 0.112 0.983
0.135 0.374 0.509
0.641 0.927 0.250
0.335 0.772 0.622
0.623 0.622 0.482
0.136 0.883 0.020
0.395 0.593 0.750
0.842 0.773 0.123
0.332 0.782 0.137
0.393 0.890 0.023
0.140 0.878 0.517
0.835 0.282 0.138
0.375 0.615 0.993
0.459 0.402 0.377
0.918 0.074 0.750
0.383 0.881 0.509
0.696 0.218 0.359
0.920 0.094 0.246
0.894 0.892 0.023
0.329 0.273 0.622
0.090 0.109 0.139
0.368 0.114 0.478
0.463 0.898 0.878
0.951 0.896 0.865
0.444 0.896 0.361
0.145 0.403 0.750
0.576 0.596 0.620
0.679 0.907 0.750
0.623 0.616 0.986
0.385 0.380 0.513
0.588 0.606 0.138
0.195 0.718 0.358
0.124 0.623 0.993
0.959 0.899 0.376
0.872 0.609 0.983
0.079 0.598 0.620
0.368 0.615 0.477
0.119 0.116 0.983
0.143 0.389 0.023
0.120 0.617 0.477
0.167 0.924 0.244
0.886 0.882 0.516
0.581 0.097 0.621
0.830 0.270 0.622
0.710 0.230 0.880
0.944 0.397 0.362
0.640 0.386 0.021
0.708 0.730 0.882
0.892 0.390 0.021
0.464 0.403 0.879
0.208 0.727 0.880
0.891 0.595 0.750
0.081 0.102 0.636
0.699 0.716 0.360
0.123 0.120 0.483
0.142 0.428 0.250
0.391 0.093 0.750
0.874 0.114 0.991
0.420 0.593 0.245
0.870 0.114 0.480
0.870 0.619 0.483
0.837 0.783 0.636
0.639 0.377 0.515
0.883 0.381 0.510
0.644 0.406 0.756
0.621 0.116 0.477
0.092 0.611 0.141
0.594 0.109 0.141
0.197 0.218 0.865
0.636 0.875 0.510
0.625 0.121 0.991
0.415 0.073 0.250
0.695 0.436 0.891
0.307 0.568 0.110
0.060 0.794 0.109
0.809 0.067 0.111
0.109 0.100 0.750
0.255 0.747 0.496
0.760 0.753 0.003
0.862 0.404 0.249
0.255 0.247 0.497
0.007 0.000 0.002
0.608 0.597 0.248
0.604 0.096 0.249
0.256 0.250 0.999
0.007 0.001 0.501
0.755 0.248 0.497
0.104 0.597 0.249
0.509 0.001 0.004
0.755 0.750 0.499
0.867 0.901 0.751
0.259 0.753 0.005
0.107 0.095 0.248
0.508 0.501 0.004
0.759 0.253 0.005
0.507 0.500 0.499
0.359 0.903 0.249
0.005 0.498 0.496
0.008 0.502 0.004
0.504 0.998 0.495
0.946 0.202 0.385
0.195 0.436 0.888
0.196 0.935 0.386
0.448 0.200 0.887
0.699 0.436 0.388
0.310 0.062 0.613
0.558 0.799 0.612
0.697 0.935 0.386
0.696 0.937 0.888
0.306 0.064 0.112
0.196 0.937 0.887
0.559 0.297 0.112
0.807 0.063 0.611
0.058 0.799 0.613
0.447 0.203 0.389
0.059 0.298 0.613
0.811 0.565 0.614
0.446 0.698 0.886
0.197 0.434 0.387
0.944 0.202 0.888
0.946 0.702 0.388
0.946 0.700 0.886
0.445 0.701 0.384
0.559 0.798 0.113
0.061 0.299 0.114
0.808 0.565 0.111
0.561 0.302 0.616
0.310 0.562 0.613
0.369 0.384 0.250
0.868 0.884 0.249
0.127 0.620 0.750
0.625 0.618 0.751
0.623 0.122 0.751
0.874 0.379 0.751
0.367 0.879 0.750
0.377 0.377 0.751

=====

CoAgO3, relaxed, DFT PBE+U; space-group type = No. 15; V = 234.0 Å³/cell; crystal system = monoclinic; ΔE_f = -369 meV/atom; M_tot = 2.000 μB/f.u.
1.0
-4.056 -5.666 -0.080
3.840 -4.900 -3.131
1.835 -1.729 4.316
Ag Co O
4 4 12
Direct
0.387 0.155 0.761
0.845 0.613 0.739
0.613 0.845 0.239
0.155 0.387 0.261
0.085 0.915 0.250
0.915 0.085 0.750
0.272 0.728 0.750
0.728 0.272 0.250
0.402 0.498 0.531
0.502 0.598 0.969
0.498 0.402 0.031
0.171 0.003 0.909
0.997 0.829 0.591
0.598 0.502 0.469
0.829 0.997 0.091
0.875 0.319 0.917
0.003 0.171 0.409
0.681 0.125 0.583
0.125 0.681 0.083
0.319 0.875 0.417

=====

CoAgO3, relaxed, DFT PBE+U; V = 224.6 Å³/cell; ΔE_f = -749 meV/atom; M_tot = 0.001 μB/f.u.
1.0
2.617 -4.398 0.359
2.787 1.136 5.213
-4.705 -3.043 5.011
Co Ag O
4 4 12
Direct
0.997 0.320 0.164
0.503 0.181 0.336
0.497 0.819 0.664
0.003 0.681 0.836
0.004 0.720 0.342
0.995 0.280 0.658
0.496 0.780 0.158
0.504 0.220 0.842
0.168 0.940 0.757
0.832 0.060 0.243
0.401 0.880 0.424
0.099 0.620 0.076
0.669 0.440 0.258
0.661 0.838 0.880
0.901 0.380 0.924
0.599 0.120 0.576
0.161 0.338 0.380
0.840 0.662 0.620
0.332 0.560 0.742
0.339 0.162 0.120

=====

CoAgO3, relaxed, DFT PBE+U; space-group type = No. 148; V = 112.7 Å³/cell; crystal system = trigonal; ΔE_f = -738 meV/atom; M_tot = 1.997 μB/f.u.
1.0
2.499 1.443 5.211
-2.499 1.443 5.211
0.000 -2.885 5.211
O Ag Co
6 2 2
Direct
0.039 0.818 0.441
0.559 0.961 0.182
0.441 0.039 0.818
0.182 0.559 0.961
0.818 0.441 0.039
0.961 0.182 0.559
0.362 0.362 0.362
0.638 0.638 0.638
0.837 0.837 0.837
0.163 0.163 0.163

=====

CoAgPO4, relaxed, DFT PBE+U; space-group type = No. 2; V = 343.2 Å³/cell; crystal system = triclinic; ΔE_f = -1871 meV/atom; M_tot = 0.000 μB/f.u.
1.0
5.661 -0.094 1.023
1.070 6.273 1.778
0.106 -0.142 9.621
Ag O P Co
4 16 4 4
Direct
0.682 0.387 0.870
0.318 0.613 0.130
0.180 0.473 0.763
0.819 0.527 0.237
0.133 0.155 0.448
0.766 0.889 0.057
0.073 0.748 0.866
0.234 0.111 0.943
0.244 0.521 0.417
0.927 0.252 0.134
0.781 0.083 0.788
0.867 0.845 0.552
0.219 0.917 0.212
0.623 0.734 0.879
0.756 0.479 0.583
0.349 0.224 0.637
0.424 0.792 0.607
0.651 0.777 0.363
0.576 0.208 0.393
0.377 0.266 0.121
0.319 0.282 0.471
0.681 0.718 0.529
0.189 0.136 0.100
0.811 0.864 0.900
0.664 0.059 0.210
0.215 0.826 0.437
0.336 0.940 0.790
0.785 0.174 0.563

=====

Co3Ag2P4O14, relaxed, DFT PBE+U; space-group type = No. 2; V = 547.6 Å³/cell; crystal system = triclinic; ΔE_f = -2072 meV/atom; M_tot = 9.000 μB/f.u.
1.0
5.406 0.000 0.000
-1.881 6.157 0.000
-2.595 -1.992 16.452
O P Ag Co
28 8 4 6
Direct
0.373 0.660 0.096
0.239 0.972 0.226
0.879 0.557 0.271
0.298 0.985 0.420
0.274 0.595 0.447
0.136 0.307 0.180
0.765 0.957 0.164
0.476 0.651 0.656
0.133 0.839 0.546
0.702 0.015 0.580
0.291 0.138 0.988
0.524 0.349 0.344
0.761 0.028 0.774
0.489 0.284 0.702
0.948 0.139 0.302
0.171 0.399 0.893
0.149 0.297 0.586
0.867 0.161 0.454
0.121 0.443 0.729
0.627 0.340 0.904
0.726 0.405 0.553
0.864 0.693 0.820
0.511 0.716 0.298
0.052 0.861 0.698
0.851 0.703 0.414
0.235 0.043 0.836
0.829 0.601 0.107
0.709 0.862 0.012
0.690 0.576 0.326
0.157 0.779 0.457
0.038 0.100 0.222
0.843 0.221 0.543
0.962 0.900 0.778
0.337 0.243 0.910
0.663 0.757 0.090
0.310 0.424 0.674
0.909 0.266 0.020
0.480 0.743 0.871
0.091 0.734 0.980
0.520 0.257 0.129
0.168 0.639 0.201
0.583 0.041 0.346
0.214 0.282 0.408
0.786 0.718 0.592
0.832 0.361 0.799
0.417 0.959 0.654

=====

CoAgPO4, relaxed, DFT PBE+U; space-group type = No. 1; V = 337.0 Å³/cell; crystal system = triclinic; ΔE_f = -1865 meV/atom; M_tot = 3.000 μB/f.u.
1.0
-5.559 -1.356 0.396
-0.100 -3.532 5.564
-2.897 6.146 6.632
O Co Ag P
16 4 4 4
Direct
0.759 0.477 0.579
0.418 0.786 0.612
0.640 0.778 0.363
0.245 0.517 0.418
0.624 0.747 0.877
0.073 0.748 0.872
0.138 0.151 0.448
0.204 0.916 0.210
0.376 0.259 0.122
0.861 0.845 0.553
0.926 0.258 0.126
0.241 0.107 0.937
0.583 0.207 0.390
0.797 0.091 0.788
0.361 0.220 0.637
0.762 0.901 0.061
0.214 0.825 0.435
0.784 0.165 0.567
0.327 0.936 0.784
0.669 0.062 0.218
0.180 0.466 0.771
0.317 0.610 0.126
0.681 0.395 0.876
0.819 0.532 0.231
0.677 0.715 0.530
0.323 0.279 0.470
0.188 0.133 0.097
0.811 0.874 0.901

=====

Co2Ag3SbO6, relaxed, DFT PBE+U; space-group type = No. 151; V = 487.3 Å³/cell; crystal system = trigonal; ΔE_f = -1173 meV/atom; M_tot = 6.017 μB/f.u.
1.0
-2.649 -1.096 4.630
-0.572 -3.283 -4.307
14.718 -10.385 5.960
O Co Ag Sb
18 6 9 3
Direct
0.759 0.882 0.388
0.761 0.560 0.279
0.123 0.560 0.611
0.118 0.877 0.721
0.440 0.239 0.388
0.759 0.877 0.612
0.437 0.877 0.278
0.440 0.201 0.612
0.123 0.882 0.945
0.123 0.241 0.055
0.437 0.560 0.722
0.799 0.560 0.055
0.799 0.239 0.945
0.123 0.563 0.389
0.440 0.877 0.055
0.118 0.241 0.279
0.761 0.201 0.721
0.440 0.563 0.945
0.107 0.893 0.333
0.452 0.226 0.000
0.785 0.893 0.000
0.107 0.215 0.667
0.774 0.548 0.667
0.774 0.226 0.333
0.442 0.883 0.167
0.763 0.882 0.500
0.118 0.237 0.167
0.777 0.223 0.833
0.446 0.223 0.500
0.442 0.558 0.833
0.777 0.554 0.167
0.118 0.882 0.833
0.117 0.558 0.500
0.440 0.560 0.333
0.121 0.560 0.000
0.440 0.879 0.667

=====

CrAg3F6, relaxed, DFT PBE+U; space-group type = No. 225; V = 157.8 Å³/cell; crystal system = cubic; ΔE_f = -1864 meV/atom; M_tot = 3.000 μB/f.u.
1.0
0.000 4.289 4.289
4.289 0.000 4.289
4.289 4.289 0.000
F Ag Cr
6 3 1
Direct
0.226 0.774 0.226
0.774 0.226 0.226
0.226 0.774 0.774
0.226 0.226 0.774
0.774 0.226 0.774
0.774 0.774 0.226
0.500 0.500 0.500
0.250 0.250 0.250
0.750 0.750 0.750
0.000 0.000 0.000

=====

CrNiAg2F7, relaxed, DFT PBE+U; space-group type = No. 74; V = 303.3 Å³/cell; crystal system = orthorhombic; ΔE_f = -2194 meV/atom; M_tot = 5.002 μB/f.u.
1.0
-4.157 -4.916 3.894
-1.484 5.410 5.014
-1.555 0.998 -7.294
Cr Ag F Ni
2 4 14 2
Direct
0.500 0.500 0.500
0.500 0.000 0.000
0.500 0.500 0.000
0.000 0.500 0.000
0.000 0.000 0.000
0.000 0.000 0.500
0.457 0.075 0.776
0.201 0.425 0.382
0.134 0.406 0.727
0.457 0.682 0.382
0.821 0.094 0.727
0.585 0.750 0.835
0.799 0.182 0.224
0.866 0.594 0.273
0.179 0.906 0.273
0.543 0.318 0.618
0.415 0.250 0.165
0.799 0.575 0.618
0.201 0.818 0.776
0.543 0.925 0.224
0.000 0.500 0.500
0.500 0.000 0.500

=====

> Which formula does entry 8 have?

Co2Ag3SbO6

=====

> Among the records above, which one has the highest M_tot?

La7SmCo6Ag2O20

=====

> Among the records above, which one has the lowest ΔE_f?

La7SmCo6Ag2O20